1.
! LaMg6Cd, optimized geometry, DFT PBE; values from VASP
! Total moment   0.0 Bohr magnetons per cell
! E_form   -14 kJ/mol of formula units
&SYSTEM
  ibrav = 0, nat = 16, ntyp = 3
/
ATOMIC_SPECIES
Mg 24.30 Mg.upf
La 138.91 La.upf
Cd 112.41 Cd.upf
CELL_PARAMETERS angstrom
-4.755 1.177 1.671
0.560 -4.535 4.788
4.559 8.179 7.213
ATOMIC_POSITIONS angstrom
Mg 2.047 2.312 4.197
Mg -1.596 -2.118 4.964
Mg 2.333 0.004 6.634
Mg -0.834 3.358 3.278
Mg 4.332 6.361 7.846
Mg -1.867 0.072 2.652
Mg 1.417 7.396 6.839
Mg 1.726 5.180 9.278
Mg -0.582 1.039 5.626
Mg 0.403 4.239 6.177
Mg 0.693 1.894 8.652
Mg 4.607 4.135 10.197
La 0.771 1.384 1.220
La 3.331 3.206 7.220
Cd 1.018 -0.943 3.562
Cd 3.018 5.414 4.774



2.
! La2MgCd, optimized geometry, DFT PBE; values from VASP
! E_form   -81 kJ/mol of formula units
&SYSTEM
  ibrav = 0, nat = 4, ntyp = 3
/
ATOMIC_SPECIES
Cd 112.41 Cd.upf
La 138.91 La.upf
Mg 24.30 Mg.upf
CELL_PARAMETERS angstrom
-3.290 -3.776 -2.457
-5.506 0.094 0.895
-3.464 1.556 -4.087
ATOMIC_POSITIONS angstrom
Cd -6.130 -1.063 -2.824
La -3.065 -0.532 -1.412
La -9.195 -1.595 -4.236
Mg 0.000 0.000 0.000



3.
! LaMg6Cd, optimized geometry, DFT PBE; values from VASP
! Total moment   0.0 Bohr magnetons per cell
! E_form   -17 kJ/mol of formula units
&SYSTEM
  ibrav = 0, nat = 16, ntyp = 3
/
ATOMIC_SPECIES
Mg 24.30 Mg.upf
La 138.91 La.upf
Cd 112.41 Cd.upf
CELL_PARAMETERS angstrom
5.167 0.000 0.000
0.000 6.744 0.000
0.000 0.000 11.673
ATOMIC_POSITIONS angstrom
Mg 2.584 0.000 1.951
Mg 0.000 5.091 6.777
Mg 2.584 5.141 4.924
Mg 2.584 1.603 4.924
Mg 2.584 4.976 10.760
Mg 0.000 1.653 6.777
Mg 2.584 1.769 10.760
Mg 0.000 5.025 0.940
Mg 2.584 3.372 7.787
Mg 0.000 1.719 0.940
Mg 0.000 3.372 9.773
Mg 0.000 0.000 3.937
La 0.000 0.000 9.700
La 0.000 3.372 3.863
Cd 2.584 3.372 1.867
Cd 2.584 0.000 7.703



Number 1: V 202.45 Å³/f.u., E -31.20 eV/cell. Number 2: V 122.76 Å³/f.u., E -13.24 eV/cell. Number 3: V 203.40 Å³/f.u., E -31.28 eV/cell.